(1)
First-principles (PBE-GGA) data for a relaxed structure of Rb2TlGaBr6, as listed in the Materials Project database.

Geometry as CIF:
```
data_Rb2TlGaBr6
_cell_length_a 8.0983
_cell_length_b 8.0983
_cell_length_c 8.0983
_cell_angle_alpha 60.00
_cell_angle_beta 60.00
_cell_angle_gamma 60.00
_symmetry_space_group_name_H-M 'P 1'
_symmetry_Int_Tables_number 1
_symmetry_space_group_name_Hall 'P 1'
loop_
_atom_site_label
_atom_site_fract_x
_atom_site_fract_y
_atom_site_fract_z
Rb1 0.7500 0.7500 0.7500
Rb2 0.2500 0.2500 0.2500
Tl1 0.5000 0.5000 0.5000
Ga1 0.0000 0.0000 0.0000
Br1 0.7747 0.2253 0.2253
Br2 0.2253 0.2253 0.7747
Br3 0.2253 0.7747 0.7747
Br4 0.2253 0.7747 0.2253
Br5 0.7747 0.2253 0.7747
Br6 0.7747 0.7747 0.2253
```

Output
VASP energy = -2.890 eV per atom
Space group = Fm-3m (225)
Formation energy = -144.06 kJ per mole of atoms


(2)
First-principles (PBE-GGA) data for a relaxed structure of CsPrO3, as listed in the Materials Project database.

Geometry as CIF:
```
data_CsPrO3
_cell_length_a 4.7549
_cell_length_b 4.7549
_cell_length_c 4.7549
_cell_angle_alpha 90.00
_cell_angle_beta 90.00
_cell_angle_gamma 90.00
_symmetry_space_group_name_H-M 'P 1'
_symmetry_Int_Tables_number 1
_symmetry_space_group_name_Hall 'P 1'
loop_
_atom_site_label
_atom_site_fract_x
_atom_site_fract_y
_atom_site_fract_z
Cs1 0.0000 0.0000 0.0000
Pr1 0.5000 0.5000 0.5000
O1 0.5000 0.5000 0.0000
O2 0.5000 0.0000 0.5000
O3 0.0000 0.5000 0.5000
```

Output
VASP energy = -5.819 eV per atom
Space group = Pm-3m (221)
Formation energy = -205.24 kJ per mole of atoms


(3)
First-principles (PBE-GGA) data for a relaxed structure of MgSi2, as listed in the Materials Project database.

Geometry as CIF:
```
data_MgSi2
_cell_length_a 3.8803
_cell_length_b 6.2530
_cell_length_c 9.2777
_cell_angle_alpha 77.70
_cell_angle_beta 90.00
_cell_angle_gamma 90.00
_symmetry_space_group_name_H-M 'P 1'
_symmetry_Int_Tables_number 1
_symmetry_space_group_name_Hall 'P 1'
loop_
_atom_site_label
_atom_site_fract_x
_atom_site_fract_y
_atom_site_fract_z
Mg1 0.5000 0.1092 0.8321
Mg2 0.5000 0.3623 0.1432
Mg3 0.0000 0.6051 0.3380
Mg4 0.0000 0.8443 0.6516
Si1 0.5000 0.8337 0.1658
Si2 0.0000 0.6849 0.9808
Si3 0.5000 0.5235 0.5975
Si4 0.0000 0.1654 0.3766
Si5 0.5000 0.6171 0.8403
Si6 0.0000 0.0456 0.0548
Si7 0.5000 0.9242 0.4105
Si8 0.0000 0.2846 0.6092
```

Output
VASP energy = -4.015 eV per atom
Space group = Pm (6)
Energy above the lowest structure with this stoichiometry = 105.5 meV per atom
Formation energy = 17.67 kJ per mole of atoms


| no. | magnetic moment (μB per formula unit) |
| --- | --- |
| 1 | 0.00 |
| 2 | 2.00 |
| 3 | 0.00 |